# 1
## Na2H6PtC4N4O3 (PBE)

Data for an optimized crystal structure of Na2H6PtC4N4O3.

Cell lengths 7.371, 9.112, 15.506 Å; angles 89.09, 87.30, 84.94 degrees
Space group P-1 (No. 2)
One atom of each set of equivalent atoms:
Na 0.000 0.000 0.000 [1 per cell]
Na 0.000 0.500 0.500 [1 per cell]
Na 0.239 0.067 0.192 [2 per cell]
Na 0.307 0.428 0.312 [2 per cell]
Na 0.457 0.255 0.755 [2 per cell]
H 0.014 0.658 0.775 [2 per cell]
H 0.016 0.737 0.687 [2 per cell]
H 0.036 0.396 0.688 [2 per cell]
H 0.071 0.100 0.816 [2 per cell]
H 0.084 0.790 0.147 [2 per cell]
H 0.094 0.706 0.351 [2 per cell]
H 0.374 0.485 0.614 [2 per cell]
H 0.416 0.023 0.898 [2 per cell]
H 0.431 0.850 0.727 [2 per cell]
H 0.443 0.764 0.811 [2 per cell]
H 0.464 0.863 0.069 [2 per cell]
H 0.486 0.636 0.423 [2 per cell]
Pt 0.246 0.512 0.987 [2 per cell]
Pt 0.248 0.987 0.517 [2 per cell]
C 0.198 0.464 0.866 [2 per cell]
C 0.219 0.306 0.025 [2 per cell]
C 0.231 0.778 0.552 [2 per cell]
C 0.236 0.043 0.640 [2 per cell]
C 0.261 0.196 0.480 [2 per cell]
C 0.267 0.932 0.394 [2 per cell]
C 0.273 0.721 0.953 [2 per cell]
C 0.296 0.559 0.108 [2 per cell]
N 0.172 0.436 0.794 [2 per cell]
N 0.200 0.185 0.049 [2 per cell]
N 0.217 0.655 0.573 [2 per cell]
N 0.233 0.073 0.714 [2 per cell]
N 0.264 0.318 0.456 [2 per cell]
N 0.284 0.899 0.320 [2 per cell]
N 0.289 0.845 0.934 [2 per cell]
N 0.328 0.586 0.179 [2 per cell]
O 0.034 0.893 0.142 [2 per cell]
O 0.052 0.608 0.358 [2 per cell]
O 0.061 0.273 0.260 [2 per cell]
O 0.477 0.415 0.631 [2 per cell]
O 0.486 0.220 0.243 [2 per cell]
O 0.495 0.908 0.122 [2 per cell]

formation energy: -61.5 kJ per mole of atoms
crystal system: triclinic

***

# 2
## NaH6C4SN3O5 (PBE)

Data for an optimized crystal structure of NaH6C4SN3O5.

Cell lengths 14.596, 10.017, 14.863 Å; angles 90.00, 115.99, 90.00 degrees
Space group C2/c (No. 15)
One atom of each set of equivalent atoms:
Na 0.000 0.000 0.000 [4 per cell]
Na 0.000 0.059 0.250 [4 per cell]
H 0.007 0.320 0.839 [8 per cell]
H 0.028 0.433 0.591 [8 per cell]
H 0.089 0.213 0.433 [8 per cell]
H 0.169 0.103 0.444 [8 per cell]
H 0.192 0.330 0.280 [8 per cell]
H 0.232 0.106 0.059 [8 per cell]
C 0.122 0.437 0.937 [8 per cell]
C 0.167 0.221 0.153 [8 per cell]
C 0.176 0.146 0.717 [8 per cell]
C 0.222 0.240 0.804 [8 per cell]
S 0.165 0.446 0.528 [8 per cell]
N 0.025 0.398 0.888 [8 per cell]
N 0.156 0.289 0.834 [8 per cell]
N 0.190 0.375 0.909 [8 per cell]
O 0.088 0.102 0.685 [8 per cell]
O 0.095 0.118 0.419 [8 per cell]
O 0.120 0.253 0.205 [8 per cell]
O 0.128 0.158 0.071 [8 per cell]
O 0.237 0.117 0.675 [8 per cell]

formation energy: -82.8 kJ per mole of atoms
crystal system: monoclinic